Entry from the Materials Project database: Y4Cr13Si2Sb2O28 after structural relaxation (PBE+U).

abc: 12.8234 12.8234 8.8280
angles: 87.61 87.61 153.45
Closest atoms and distances in Å follow each position.
Fractional coordinates of all 49 atoms:
Y 0.5077 0.9225 0.3408  4 O 2.14-2.21
Y 0.0775 0.4923 0.6592  4 O 2.14-2.21
Y 0.4923 0.0775 0.6592  4 O 2.14-2.21
Y 0.9225 0.5077 0.3408  4 O 2.14-2.21
Cr 0.3696 0.1062 0.3611  5 O 2.04-2.28
Cr 0.2184 0.3354 0.6543  5 O 1.99-2.22
Cr 0.8938 0.6304 0.6389  5 O 2.04-2.28
Cr 0.6304 0.8938 0.6389  5 O 2.04-2.28
Cr 0.7816 0.6646 0.3457  5 O 1.99-2.22
Cr 0.2944 0.7056 0.0000  2 O 2.05
Cr 0.6646 0.7816 0.3457  5 O 1.99-2.22
Cr 0.0000 0.0000 0.0000  4 O 2.19
Cr 0.4318 0.5682 0.0000  6 O 2.05-2.15
Cr 0.3354 0.2184 0.6543  5 O 1.99-2.22
Cr 0.1062 0.3696 0.3611  5 O 2.04-2.28
Cr 0.5682 0.4318 0.0000  6 O 2.05-2.15
Cr 0.7056 0.2944 0.0000  2 O 2.05
Si 0.7529 0.7529 0.6849  4 O 1.64-1.66
Si 0.2471 0.2471 0.3151  4 O 1.64-1.66
Sb 0.8624 0.1376 0.0000  6 O 2.20-2.43
Sb 0.1376 0.8624 0.0000  6 O 2.20-2.43
O 0.0243 0.2852 0.6044  2 Cr 2.01-2.12, 1 Y 2.15
O 0.4504 0.8727 0.6176  1 Cr 2.09, 2 Y 2.18-2.21
O 0.0355 0.0355 0.6598  1 Si 1.64
O 0.6497 0.6497 0.8701  1 Si 1.64
O 0.5496 0.1273 0.3824  1 Cr 2.09, 2 Y 2.18-2.21
O 0.9757 0.7148 0.3956  2 Cr 2.01-2.12, 1 Y 2.15
O 0.4142 0.9999 0.9051  1 Cr 2.05, 1 Y 2.14, 1 Sb 2.20
O 0.5858 0.0001 0.0949  1 Cr 2.05, 1 Y 2.14, 1 Sb 2.20
O 0.3503 0.3503 0.1299  1 Si 1.64
O 0.7096 0.8339 0.1172  3 Cr 1.99-2.19
O 0.6059 0.7112 0.5993  1 Si 1.66
O 0.7148 0.9757 0.3956  2 Cr 2.01-2.12, 1 Y 2.15
O 0.0001 0.5858 0.0949  1 Cr 2.05, 1 Y 2.14, 1 Sb 2.20
O 0.1661 0.2904 0.8828  3 Cr 1.99-2.19
O 0.2888 0.3941 0.4007  1 Si 1.66
O 0.9645 0.9645 0.3402  1 Si 1.64
O 0.8339 0.7096 0.1172  3 Cr 1.99-2.19
O 0.2904 0.1661 0.8828  3 Cr 1.99-2.19
O 0.9999 0.4142 0.9051  1 Cr 2.05, 1 Y 2.14, 1 Sb 2.20
O 0.5494 0.8064 0.8731  2 Cr 2.04-2.05
O 0.4506 0.1936 0.1269  2 Cr 2.04-2.05
O 0.7112 0.6059 0.5993  1 Si 1.66
O 0.8064 0.5494 0.8731  2 Cr 2.04-2.05
O 0.8727 0.4504 0.6176  1 Cr 2.09, 2 Y 2.18-2.21
O 0.3941 0.2888 0.4007  1 Si 1.66
O 0.1936 0.4506 0.1269  2 Cr 2.04-2.05
O 0.2852 0.0243 0.6044  2 Cr 2.01-2.12, 1 Y 2.15
O 0.1273 0.5496 0.3824  1 Cr 2.09, 2 Y 2.18-2.21

Properties
As for the calculated volume: 13.0 Å³/atom. Its energy is -7.800 eV/atom. The crystal system is monoclinic. The energy of formation comes out at -2.417 eV/atom.

***

Entry from the Materials Project database: Na2MnGaF7 after structural relaxation (PBE+U).

abc: 7.5185 7.5185 18.4342
angles: 90.00 90.00 120.00
Closest atoms and distances in Å follow each position.
Fractional coordinates of all 66 atoms:
Na 0.5057 0.8865 0.6655  5 F 2.33-2.57
Na 0.1135 0.6191 0.9988  5 F 2.33-2.57
Na 0.3809 0.4943 0.3321  5 F 2.33-2.57
Na 0.6191 0.1135 0.0012  5 F 2.33-2.57
Na 0.4943 0.3809 0.6679  5 F 2.33-2.57
Na 0.8865 0.5057 0.3345  5 F 2.33-2.57
Na 0.8602 0.0000 0.3333  4 F 2.41-2.66
Na 0.0000 0.8602 0.6667  4 F 2.41-2.66
Na 0.1398 0.1398 0.0000  4 F 2.41-2.66
Na 0.8446 0.0000 0.8333  2 F 2.17
Na 0.0000 0.8446 0.1667  2 F 2.17
Na 0.1554 0.1554 0.5000  2 F 2.17
Mn 0.4956 0.8360 0.1712  6 F 2.10-2.15
Mn 0.1640 0.6595 0.5045  6 F 2.10-2.15
Mn 0.3405 0.5044 0.8379  6 F 2.10-2.15
Mn 0.6595 0.1640 0.4955  6 F 2.10-2.15
Mn 0.5044 0.3405 0.1621  6 F 2.10-2.15
Mn 0.8360 0.4956 0.8288  6 F 2.10-2.15
Ga 0.3151 0.0000 0.3333  6 F 1.90-1.94
Ga 0.0000 0.3151 0.6667  6 F 1.90-1.94
Ga 0.6849 0.6849 0.0000  6 F 1.90-1.94
Ga 0.3347 0.0000 0.8333  6 F 1.92-1.94
Ga 0.0000 0.3347 0.1667  6 F 1.92-1.94
Ga 0.6653 0.6653 0.5000  6 F 1.92-1.94
F 0.4270 0.0477 0.1224  2 Mn 2.10-2.11
F 0.9523 0.3793 0.4557  2 Mn 2.10-2.11
F 0.6207 0.5730 0.7890  2 Mn 2.10-2.11
F 0.3793 0.9523 0.5443  2 Mn 2.10-2.11
F 0.5730 0.6207 0.2110  2 Mn 2.10-2.11
F 0.0477 0.4270 0.8776  2 Mn 2.10-2.11
F 0.2390 0.1870 0.8602  1 Ga 1.94, 1 Mn 2.15
F 0.8130 0.0520 0.1935  1 Ga 1.94, 1 Mn 2.15
F 0.9480 0.7610 0.5268  1 Ga 1.94, 1 Mn 2.15
F 0.0520 0.8130 0.8065  1 Ga 1.94, 1 Mn 2.15
F 0.7610 0.9480 0.4732  1 Ga 1.94, 1 Mn 2.15
F 0.1870 0.2390 0.1398  1 Ga 1.94, 1 Mn 2.15
F 0.3722 0.0743 0.7314  1 Ga 1.94
F 0.9257 0.2979 0.0647  1 Ga 1.94
F 0.7021 0.6278 0.3980  1 Ga 1.94
F 0.2979 0.9257 0.9353  1 Ga 1.94
F 0.6278 0.7021 0.6020  1 Ga 1.94
F 0.0743 0.3722 0.2686  1 Ga 1.94
F 0.4286 0.8119 0.8088  1 Ga 1.92, 1 Mn 2.13
F 0.1881 0.6167 0.1422  1 Ga 1.92, 1 Mn 2.13
F 0.3833 0.5714 0.4755  1 Ga 1.92, 1 Mn 2.13
F 0.6167 0.1881 0.8578  1 Ga 1.92, 1 Mn 2.13
F 0.5714 0.3833 0.5245  1 Ga 1.92, 1 Mn 2.13
F 0.8119 0.4286 0.1912  1 Ga 1.92, 1 Mn 2.13
F 0.7701 0.1987 0.6030  1 Ga 1.90, 1 Mn 2.11
F 0.8013 0.5714 0.9363  1 Ga 1.90, 1 Mn 2.11
F 0.4286 0.2299 0.2697  1 Ga 1.90, 1 Mn 2.11
F 0.5714 0.8013 0.0637  1 Ga 1.90, 1 Mn 2.11
F 0.2299 0.4286 0.7303  1 Ga 1.90, 1 Mn 2.11
F 0.1987 0.7701 0.3970  1 Ga 1.90, 1 Mn 2.11
F 0.8000 0.9425 0.9489  1 Ga 1.93
F 0.0575 0.8575 0.2823  1 Ga 1.93
F 0.1425 0.2000 0.6156  1 Ga 1.93
F 0.8575 0.0575 0.7177  1 Ga 1.93
F 0.2000 0.1425 0.3844  1 Ga 1.93
F 0.9425 0.8000 0.0511  1 Ga 1.93
F 0.5656 0.4257 0.0512  1 Ga 1.94, 1 Mn 2.12
F 0.5743 0.1399 0.3846  1 Ga 1.94, 1 Mn 2.12
F 0.8601 0.4344 0.7179  1 Ga 1.94, 1 Mn 2.12
F 0.1399 0.5743 0.6154  1 Ga 1.94, 1 Mn 2.12
F 0.4344 0.8601 0.2821  1 Ga 1.94, 1 Mn 2.12
F 0.4257 0.5656 0.9488  1 Ga 1.94, 1 Mn 2.12

Properties
As for the calculated volume: 13.7 Å³/atom. Its energy is -5.117 eV/atom. The crystal system is trigonal. The energy of formation comes out at -2.996 eV/atom.

***

What is the energy of formation in the first record? -2.417 eV/atom

***

Which of these has the lowest energy of formation? Na2MnGaF7

***

Look up the energy of the second one. -5.117 eV/atom

***

The highest energy belongs to which entry? Na2MnGaF7